Entry from the Materials Project database: a relaxed structure of SmP2Ir2 (r2SCAN).

abc: 4.1396 4.1396 9.5697
angles: 90.00 90.00 90.00
Positions (direct):
Sm (0.0000, 0.5000, 0.2428)
Sm (0.5000, 0.0000, 0.7572)
P (0.0000, 0.0000, 0.0000)
P (0.5000, 0.5000, 0.0000)
P (0.0000, 0.5000, 0.6400)
P (0.5000, 0.0000, 0.3600)
Ir (0.0000, 0.0000, 0.5000)
Ir (0.5000, 0.5000, 0.5000)
Ir (0.0000, 0.5000, 0.8864)
Ir (0.5000, 0.0000, 0.1136)

**Energy of formation**: -1.12 eV per atom
**Magnetization**: 0.0 μB/cell